MgCo4O9 | PBE with a Hubbard U | relaxed

Unit cell a=4.9015 b=8.1590 c=8.1875 alpha=89.70 beta=90.00 gamma=90.00
Last column: nearest neighbours and their distance in Å.
Fractional positions:
Mg1 0.1481 0.2474 0.2453  8 O 2.17-2.40
Mg2 0.8519 0.7473 0.7453  8 O 2.17-2.40
Co1 0.6151 0.5338 0.3387  1 O 1.65
Co2 0.3872 0.8386 0.4673  1 O 1.66
Co3 0.6129 0.3386 0.9673  1 O 1.66
Co4 0.3849 0.0338 0.8386  1 O 1.65
Co5 0.6146 0.9663 0.1622  1 O 1.66
Co6 0.6199 0.1634 0.5345  1 O 1.66
Co7 0.3854 0.4663 0.6622  1 O 1.66
Co8 0.3800 0.6634 0.0345  1 O 1.66
O1 0.4910 0.7499 0.2504  4 Co 1.98-2.00
O2 0.5090 0.2498 0.7503  4 Co 1.98-2.00
O3 0.0575 0.6837 0.9771  1 Co 1.66
O4 0.0624 0.5214 0.6839  1 Co 1.66
O5 0.0641 0.9760 0.8146  1 Co 1.65
O6 0.0629 0.8174 0.5212  1 Co 1.66
O7 0.9371 0.3174 0.0211  1 Co 1.66
O8 0.9359 0.4760 0.3146  1 Co 1.65
O9 0.9377 0.0215 0.1839  1 Co 1.66
O10 0.9425 0.1837 0.4771  1 Co 1.66
O11 0.4485 0.0457 0.3546  3 Co 1.89-1.95
O12 0.4268 0.1460 0.0449  3 Co 1.92-1.98
O13 0.4321 0.3552 0.4580  3 Co 1.92-1.97
O14 0.4400 0.4552 0.1474  3 Co 1.90-1.95
O15 0.5516 0.5457 0.8546  3 Co 1.89-1.95
O16 0.5678 0.8552 0.9580  3 Co 1.92-1.97
O17 0.5732 0.6460 0.5449  3 Co 1.92-1.98
O18 0.5600 0.9552 0.6474  3 Co 1.90-1.95

- space group = No. 7
- formation enthalpy at 0 K (eV per atom) = -1.126
- calculated density (g/cm3) = 4.098
- energy with MP2020 corrections (eV per atom) = -6.452
- uncorrected energy (eV per cell) = -155.2